(1)
The following is a PBE calculation of an optimized crystal structure of Ag5TePO4, from Materials Project.

Output
The calculated density is 6.70 g/cm3. The calculation puts the formation energy at -1.11 eV per atom.

```
data_Ag5TePO4
_chemical_formula_sum 'Ag10 Te2 P2 O8'
_cell_length_a 7.1449
_cell_length_b 7.1449
_cell_length_c 7.3997
_cell_angle_alpha 90.00
_cell_angle_beta 90.00
_cell_angle_gamma 90.00
_space_group_name_H-M_alt 'P 4/n m m'
_space_group_IT_number 129
loop_
_space_group_symop_operation_xyz
'x,y,z'
'-x,-y,-z'
'-y+1/2,x,z'
'y+1/2,-x,-z'
'-x+1/2,-y+1/2,z'
'x+1/2,y+1/2,-z'
'y,-x+1/2,z'
'-y,x+1/2,-z'
'x+1/2,-y,-z'
'-x+1/2,y,z'
'-y,-x,-z'
'y,x,z'
'-x,y+1/2,-z'
'x,-y+1/2,z'
'y+1/2,x+1/2,-z'
'-y+1/2,-x+1/2,z'
loop_
_atom_site_label
_atom_site_fract_x
_atom_site_fract_y
_atom_site_fract_z
_atom_site_occupancy
Ag1 0.0224 0.0224 0.2003 1
Ag2 0.2500 0.2500 0.4618 1
Te1 0.2500 0.2500 0.0055 1
P1 0.2500 0.7500 0.5000 1
O1 0.0696 0.7500 0.3805 1
```

=====

(2)
The following is a PBE calculation of an optimized crystal structure of ThAgPO, from Materials Project.

Output
The calculated density is 9.14 g/cm3. The calculation puts the formation energy at -2.05 eV per atom.

```
data_ThAgPO
_chemical_formula_sum 'Th2 Ag2 P2 O2'
_cell_length_a 3.9934
_cell_length_b 3.9934
_cell_length_c 8.8107
_cell_angle_alpha 90.00
_cell_angle_beta 90.00
_cell_angle_gamma 90.00
_space_group_name_H-M_alt 'P 4/n m m'
_space_group_IT_number 129
loop_
_space_group_symop_operation_xyz
'x,y,z'
'-x,-y,-z'
'-y+1/2,x,z'
'y+1/2,-x,-z'
'-x+1/2,-y+1/2,z'
'x+1/2,y+1/2,-z'
'y,-x+1/2,z'
'-y,x+1/2,-z'
'x+1/2,-y,-z'
'-x+1/2,y,z'
'-y,-x,-z'
'y,x,z'
'-x,y+1/2,-z'
'x,-y+1/2,z'
'y+1/2,x+1/2,-z'
'-y+1/2,-x+1/2,z'
loop_
_atom_site_label
_atom_site_fract_x
_atom_site_fract_y
_atom_site_fract_z
_atom_site_occupancy
Th1 0.2500 0.2500 0.1539 1
Ag1 0.2500 0.7500 0.5000 1
P1 0.2500 0.2500 0.7023 1
O1 0.2500 0.7500 0.0000 1
```

=====

(3)
The following is a PBE calculation of an optimized crystal structure of Th2AgP2O, from Materials Project.

Output
The calculated density is 6.47 g/cm3. The calculation puts the formation energy at -0.33 eV per atom.

```
data_Th2AgP2O
_chemical_formula_sum 'Th2 Ag1 P2 O1'
_cell_length_a 3.3854
_cell_length_b 3.3854
_cell_length_c 14.5459
_cell_angle_alpha 90.00
_cell_angle_beta 90.00
_cell_angle_gamma 90.00
_space_group_name_H-M_alt 'P 4/m m m'
_space_group_IT_number 123
_space_group_name_Hall '-P 4 2'
loop_
_atom_site_label
_atom_site_fract_x
_atom_site_fract_y
_atom_site_fract_z
_atom_site_occupancy
Th1 0.0000 0.0000 0.1466 1
Ag1 0.0000 0.0000 0.5000 1
P1 0.0000 0.0000 0.3367 1
O1 0.0000 0.0000 0.0000 1
```

=====

(4)
The following is a PBE calculation of an optimized crystal structure of ZnAg3P3O13, from Materials Project.

Output
The calculated density is 4.22 g/cm3. The calculation puts the formation energy at -1.62 eV per atom.

```
data_ZnAg3P3O13
_chemical_formula_sum 'Zn2 Ag6 P6 O26'
_cell_length_a 7.8872
_cell_length_b 6.4457
_cell_length_c 10.7735
_cell_angle_alpha 90.00
_cell_angle_beta 97.04
_cell_angle_gamma 90.00
_space_group_name_H-M_alt 'P 1 21/m 1'
_space_group_IT_number 11
loop_
_space_group_symop_operation_xyz
'x,y,z'
'-x,-y,-z'
'-x,y+1/2,-z'
'x,-y+1/2,z'
loop_
_atom_site_label
_atom_site_fract_x
_atom_site_fract_y
_atom_site_fract_z
_atom_site_occupancy
Zn1 0.1045 0.2500 0.1441 1
Ag1 0.1715 0.2500 0.7803 1
Ag2 0.2448 0.7500 0.4340 1
Ag3 0.5000 0.0000 0.0000 1
P1 0.1687 0.7500 0.1182 1
P2 0.2391 0.7500 0.7570 1
P3 0.2752 0.2500 0.4988 1
O1 0.0006 0.2500 0.9694 1
O2 0.1121 0.5716 0.7818 1
O3 0.1116 0.7500 0.2531 1
O4 0.1224 0.2500 0.5786 1
O5 0.2504 0.0680 0.4026 1
O6 0.2657 0.5408 0.1079 1
O7 0.3072 0.7500 0.6302 1
O8 0.3898 0.2500 0.9084 1
O9 0.3974 0.7500 0.8565 1
O10 0.4402 0.2500 0.5868 1
```

=====

(5)
The following is a PBE calculation of an optimized crystal structure of AgPbO3, from Materials Project.

Output
The calculated density is 8.24 g/cm3. The calculation puts the formation energy at -0.85 eV per atom.

```
data_AgPbO3
_chemical_formula_sum 'Ag6 Pb6 O18'
_cell_length_a 5.7786
_cell_length_b 5.7786
_cell_length_c 15.1895
_cell_angle_alpha 90.00
_cell_angle_beta 90.00
_cell_angle_gamma 120.00
_space_group_name_H-M_alt 'R -3'
_space_group_IT_number 148
_space_group_name_Hall '-R 3'
loop_
_atom_site_label
_atom_site_fract_x
_atom_site_fract_y
_atom_site_fract_z
_atom_site_occupancy
Ag1 0.0000 0.0000 0.1426 1
Pb1 0.0000 0.0000 0.3542 1
O1 0.0088 0.3004 0.2523 1
```

=====

(6)
The following is a PBE calculation of an optimized crystal structure of Ag13Pb6O18, from Materials Project.

Output
The calculated density is 8.02 g/cm3. The calculation puts the formation energy at -0.83 eV per atom.

```
data_Ag13Pb6O18
_chemical_formula_sum 'Ag26 Pb12 O36'
_cell_length_a 6.0023
_cell_length_b 10.3978
_cell_length_c 19.4663
_cell_angle_alpha 90.27
_cell_angle_beta 90.04
_cell_angle_gamma 90.38
_space_group_name_H-M_alt 'P 1'
_space_group_IT_number 1
loop_
_space_group_symop_operation_xyz
'x,y,z'
loop_
_atom_site_label
_atom_site_fract_x
_atom_site_fract_y
_atom_site_fract_z
_atom_site_occupancy
Ag1 0.0000 0.0000 0.0000 1
Ag2 0.0001 0.9997 0.3323 1
Ag3 0.0014 0.4985 0.7444 1
Ag4 0.0025 0.4999 0.5886 1
Ag5 0.0075 0.4940 0.9211 1
Ag6 0.2488 0.7502 0.9992 1
Ag7 0.2497 0.2468 0.6659 1
Ag8 0.2496 0.7531 0.6668 1
Ag9 0.2507 0.2494 0.3335 1
Ag10 0.2512 0.7506 0.3327 1
Ag11 0.4860 0.9998 0.5882 1
Ag12 0.4937 0.0059 0.0775 1
Ag13 0.4967 0.4997 0.3334 1
Ag14 0.4982 0.0002 0.4111 1
Ag15 0.4994 0.0016 0.2553 1
Ag16 0.4993 0.5004 0.6677 1
Ag17 0.4995 0.5002 0.9998 1
Ag18 0.5084 0.9938 0.9213 1
Ag19 0.5141 0.9985 0.7460 1
Ag20 0.7491 0.2474 0.6680 1
Ag21 0.7500 0.7531 0.6671 1
Ag22 0.7508 0.2505 0.9996 1
Ag23 0.7521 0.2503 0.3340 1
Ag24 0.7516 0.7496 0.3348 1
Ag25 0.9944 0.5061 0.0776 1
Ag26 0.9976 0.5017 0.2532 1
Pb1 0.0002 0.1659 0.8336 1
Pb2 0.0001 0.8354 0.5012 1
Pb3 0.0052 0.1667 0.1643 1
Pb4 0.4926 0.3324 0.8355 1
Pb5 0.4979 0.3304 0.1647 1
Pb6 0.5007 0.6711 0.8357 1
Pb7 0.5029 0.6651 0.4982 1
Pb8 0.5047 0.3349 0.4983 1
Pb9 0.5053 0.6664 0.1646 1
Pb10 0.9928 0.8378 0.8337 1
Pb11 0.9978 0.8301 0.1642 1
Pb12 0.9988 0.1647 0.5012 1
O1 0.1221 0.9978 0.2287 1
O2 0.1229 0.0008 0.5612 1
O3 0.1302 0.0016 0.8986 1
O4 0.1812 0.6892 0.8963 1
O5 0.1827 0.3111 0.8943 1
O6 0.1873 0.3133 0.2311 1
O7 0.1924 0.3126 0.5633 1
O8 0.1921 0.6885 0.5634 1
O9 0.1931 0.6882 0.2290 1
O10 0.3072 0.8140 0.7703 1
O11 0.3112 0.1876 0.4364 1
O12 0.3114 0.8115 0.4363 1
O13 0.3133 0.1851 0.7681 1
O14 0.3127 0.1869 0.1043 1
O15 0.3152 0.8121 0.1022 1
O16 0.3736 0.4981 0.1023 1
O17 0.3775 0.5026 0.7715 1
O18 0.3830 0.4992 0.4363 1
O19 0.6199 0.4979 0.2299 1
O20 0.6256 0.5007 0.5644 1
O21 0.6258 0.5015 0.8975 1
O22 0.6842 0.1881 0.8974 1
O23 0.6850 0.1874 0.5648 1
O24 0.6850 0.8137 0.5648 1
O25 0.6890 0.8120 0.2317 1
O26 0.6886 0.8121 0.8961 1
O27 0.6946 0.1893 0.2296 1
O28 0.8053 0.3123 0.7709 1
O29 0.8118 0.6867 0.1041 1
O30 0.8116 0.6872 0.7689 1
O31 0.8122 0.6940 0.4377 1
O32 0.8127 0.3051 0.4376 1
O33 0.8149 0.3126 0.1024 1
O34 0.8723 0.9983 0.1023 1
O35 0.8737 0.9993 0.4351 1
O36 0.8778 0.0030 0.7719 1
```

=====

Question: What is the formula in the first record?
Answer: Ag5TePO4

=====

What did the second record say?
The following is a PBE calculation of an optimized crystal structure of ThAgPO, from Materials Project.

Output
The calculated density is 9.14 g/cm3. The calculation puts the formation energy at -2.05 eV per atom.

```
data_ThAgPO
_chemical_formula_sum 'Th2 Ag2 P2 O2'
_cell_length_a 3.9934
_cell_length_b 3.9934
_cell_length_c 8.8107
_cell_angle_alpha 90.00
_cell_angle_beta 90.00
_cell_angle_gamma 90.00
_space_group_name_H-M_alt 'P 4/n m m'
_space_group_IT_number 129
loop_
_space_group_symop_operation_xyz
'x,y,z'
'-x,-y,-z'
'-y+1/2,x,z'
'y+1/2,-x,-z'
'-x+1/2,-y+1/2,z'
'x+1/2,y+1/2,-z'
'y,-x+1/2,z'
'-y,x+1/2,-z'
'x+1/2,-y,-z'
'-x+1/2,y,z'
'-y,-x,-z'
'y,x,z'
'-x,y+1/2,-z'
'x,-y+1/2,z'
'y+1/2,x+1/2,-z'
'-y+1/2,-x+1/2,z'
loop_
_atom_site_label
_atom_site_fract_x
_atom_site_fract_y
_atom_site_fract_z
_atom_site_occupancy
Th1 0.2500 0.2500 0.1539 1
Ag1 0.2500 0.7500 0.5000 1
P1 0.2500 0.2500 0.7023 1
O1 0.2500 0.7500 0.0000 1
```

=====

Question: Which value of calculated density does entry 6 give?
Answer: 8.02 g/cm3

=====

Question: Which formula does entry 6 have?
Answer: Ag13Pb6O18